18
Lattice="0.000 0.000 -4.218 -4.650 -8.054 0.000 -4.646 8.052 0.000" Properties=species:S:1:pos:R:3 comment="YNi3Sn2 (GGA-PBE, optimized geometry)" delta_e_f_ev_per_atom=-0.451 final_energy_ev_per_atom=-5.7553 pbc="T T T"
Ni -4.465 -5.042 0.000
Ni -1.378 -2.387 -2.109
Ni -6.778 -1.667 0.000
Ni -4.462 5.039 0.000
Ni -6.027 -5.668 -2.109
Ni -6.780 1.664 0.000
Ni -2.701 -1.347 0.000
Ni -6.542 -0.001 -2.109
Ni -2.701 1.348 0.000
Y 0.000 -0.001 0.000
Y -4.647 2.683 -2.109
Y -4.649 -2.685 -2.109
Sn -2.351 -0.001 -2.109
Sn -2.189 3.793 0.000
Sn -4.917 -0.002 0.000
Sn -3.471 6.015 -2.109
Sn -2.189 -3.792 0.000
Sn -3.474 -6.018 -2.109